[1]
First-principles (PBE with a Hubbard U) data for crystalline Sr2MgZrMnO6 at its relaxed geometry, as listed in the Materials Project.

Computed properties:
Symmetry: No. 160
Energy above the lowest structure with this stoichiometry in kJ per mole of atoms: 0.0
E_form in eV/atom: -2.85
Corrected total energy (MP2020 scheme) in eV per atom: -7.61

Cell lengths 6.485, 6.485, 6.485 Å; angles 55.03, 55.03, 55.03 degrees
Positions (direct):
Sr (0.000, 0.000, 0.000)
Sr (0.405, 0.405, 0.405)
Mg (0.643, 0.643, 0.643)
Zr (0.202, 0.202, 0.202)
Mn (0.815, 0.815, 0.815)
O (0.421, 0.954, 0.954)
O (0.436, 0.436, 0.967)
O (0.436, 0.967, 0.436)
O (0.954, 0.421, 0.954)
O (0.954, 0.954, 0.421)
O (0.967, 0.436, 0.436)



[2]
First-principles (PBE with a Hubbard U) data for crystalline CaV2O10 at its relaxed geometry, as listed in the Materials Project.

Computed properties:
Symmetry: No. 2
Energy above the lowest structure with this stoichiometry in kJ per mole of atoms: 0.0
E_form in eV/atom: -1.35
Corrected total energy (MP2020 scheme) in eV per atom: -6.71

Cell lengths 6.893, 7.180, 8.900 Å; angles 107.86, 91.90, 109.96 degrees
Positions (direct):
Ca (0.193, 0.182, 0.335)
Ca (0.807, 0.818, 0.665)
V (0.174, 0.610, 0.158)
V (0.362, 0.459, 0.822)
V (0.638, 0.541, 0.178)
V (0.826, 0.390, 0.842)
O (0.126, 0.466, 0.922)
O (0.137, 0.935, 0.902)
O (0.140, 0.462, 0.276)
O (0.205, 0.913, 0.660)
O (0.217, 0.862, 0.266)
O (0.239, 0.281, 0.638)
O (0.274, 0.939, 0.805)
O (0.453, 0.642, 0.116)
O (0.454, 0.562, 0.502)
O (0.494, 0.313, 0.200)
O (0.506, 0.687, 0.800)
O (0.546, 0.438, 0.498)
O (0.547, 0.358, 0.884)
O (0.726, 0.061, 0.195)
O (0.761, 0.719, 0.362)
O (0.783, 0.138, 0.734)
O (0.795, 0.087, 0.340)
O (0.860, 0.538, 0.724)
O (0.863, 0.065, 0.098)
O (0.874, 0.534, 0.078)



[3]
First-principles (PBE with a Hubbard U) data for crystalline La2MgCoO6 at its relaxed geometry, as listed in the Materials Project.

Computed properties:
E_form in eV/atom: -2.84
Corrected total energy (MP2020 scheme) in eV per atom: -7.67

Cell lengths 5.613, 5.613, 9.514 Å; angles 107.15, 90.00, 60.00 degrees
Positions (direct):
La (0.375, 0.249, 0.874)
O (0.364, 0.831, 0.877)
O (0.195, 0.759, 0.123)
Co (0.000, 0.000, 0.000)
Mg (0.750, 0.500, 0.750)
O (0.546, 0.318, 0.623)
Co (0.500, 0.000, 0.500)
O (0.695, 0.759, 0.623)
O (0.954, 0.682, 0.877)
O (0.805, 0.241, 0.877)
La (0.875, 0.249, 0.374)
La (0.625, 0.751, 0.126)
O (0.454, 0.682, 0.377)
O (0.636, 0.169, 0.123)
O (0.046, 0.318, 0.123)
La (0.125, 0.751, 0.626)
O (0.136, 0.169, 0.623)
O (0.305, 0.241, 0.377)
O (0.864, 0.831, 0.377)
Mg (0.250, 0.500, 0.250)



[4]
First-principles (PBE with a Hubbard U) data for crystalline Na3GdV2O8 at its relaxed geometry, as listed in the Materials Project.

Computed properties:
Symmetry: No. 164
Energy above the lowest structure with this stoichiometry in kJ per mole of atoms: 5.5
E_form in eV/atom: -2.60
Corrected total energy (MP2020 scheme) in eV per atom: -8.02

Cell lengths 5.959, 5.959, 7.285 Å; angles 90.00, 90.00, 120.00 degrees
Positions (direct):
Na (0.000, 0.000, 0.000)
Na (0.333, 0.667, 0.694)
Na (0.667, 0.333, 0.306)
Gd (0.000, 0.000, 0.500)
V (0.333, 0.667, 0.224)
V (0.667, 0.333, 0.776)
O (0.174, 0.347, 0.309)
O (0.174, 0.826, 0.309)
O (0.333, 0.667, 0.994)
O (0.347, 0.174, 0.691)
O (0.653, 0.826, 0.309)
O (0.667, 0.333, 0.006)
O (0.826, 0.174, 0.691)
O (0.826, 0.653, 0.691)



[5]
First-principles (PBE with a Hubbard U) data for crystalline Mg14FeSnO16 at its relaxed geometry, as listed in the Materials Project.

Computed properties:
Symmetry: No. 123
E_form in eV/atom: -2.75
Corrected total energy (MP2020 scheme) in eV per atom: -6.32

Cell lengths 8.699, 8.699, 4.350 Å; angles 90.00, 90.00, 90.00 degrees
Positions (direct):
Mg (0.000, 0.251, 0.000)
Mg (0.000, 0.500, 0.500)
Mg (0.000, 0.749, 0.000)
Mg (0.240, 0.500, 0.000)
Mg (0.245, 0.245, 0.500)
Mg (0.245, 0.755, 0.500)
Mg (0.251, 0.000, 0.000)
Mg (0.500, 0.000, 0.500)
Mg (0.500, 0.240, 0.000)
Mg (0.500, 0.760, 0.000)
Mg (0.749, 0.000, 0.000)
Mg (0.755, 0.245, 0.500)
Mg (0.755, 0.755, 0.500)
Mg (0.760, 0.500, 0.000)
Fe (0.000, 0.000, 0.500)
Sn (0.500, 0.500, 0.500)
O (0.000, 0.000, 0.000)
O (0.000, 0.252, 0.500)
O (0.000, 0.500, 0.000)
O (0.000, 0.748, 0.500)
O (0.229, 0.500, 0.500)
O (0.249, 0.249, 0.000)
O (0.249, 0.751, 0.000)
O (0.252, 0.000, 0.500)
O (0.500, 0.000, 0.000)
O (0.500, 0.229, 0.500)
O (0.500, 0.500, 0.000)
O (0.500, 0.771, 0.500)
O (0.748, 0.000, 0.500)
O (0.751, 0.249, 0.000)
O (0.751, 0.751, 0.000)
O (0.771, 0.500, 0.500)



[6]
First-principles (PBE with a Hubbard U) data for crystalline Co3O2F4 at its relaxed geometry, as listed in the Materials Project.

Computed properties:
Symmetry: No. 1
Energy above the lowest structure with this stoichiometry in kJ per mole of atoms: 25.6
E_form in eV/atom: -1.61
Corrected total energy (MP2020 scheme) in eV per atom: -5.93

Cell lengths 5.646, 5.651, 7.065 Å; angles 73.79, 73.55, 73.12 degrees
Positions (direct):
Co (0.000, 0.000, 0.000)
Co (0.004, 0.034, 0.493)
Co (0.319, 0.330, 0.161)
Co (0.353, 0.365, 0.687)
Co (0.681, 0.673, 0.836)
Co (0.694, 0.647, 0.334)
O (0.230, 0.236, 0.974)
O (0.601, 0.580, 0.623)
O (0.768, 0.752, 0.046)
O (0.972, 0.369, 0.335)
F (0.046, 0.663, 0.666)
F (0.122, 0.116, 0.696)
F (0.310, 0.697, 0.000)
F (0.382, 0.962, 0.337)
F (0.438, 0.428, 0.367)
F (0.653, 0.044, 0.674)
F (0.694, 0.304, 0.004)
F (0.907, 0.899, 0.307)